[1]
KPr5C2Cl10, optimized geometry, DFT meta-GGA r2SCAN; final energy = -15.160 eV/atom; symmetry = P6_3, No. 173
1.0
-7.9265 -2.6624 1.5230
4.0621 -2.5430 -7.0192
5.4504 -11.9466 7.4824
K Pr C Cl
2 10 4 20
Direct
0.0000 0.0000 0.0494 K
0.0000 0.0000 0.5494 K
0.6667 0.3333 0.4482 Pr
0.3333 0.6667 0.9482 Pr
0.3333 0.6667 0.5453 Pr
0.6667 0.3333 0.0453 Pr
0.3798 0.9663 0.7485 Pr
0.0337 0.4134 0.7485 Pr
0.5866 0.6202 0.7485 Pr
0.6202 0.0337 0.2485 Pr
0.9663 0.5866 0.2485 Pr
0.4134 0.3798 0.2485 Pr
0.3333 0.6667 0.6983 C
0.6667 0.3333 0.1983 C
0.6667 0.3333 0.2941 C
0.3333 0.6667 0.7941 C
0.0241 0.6414 0.0623 Cl
0.3586 0.3827 0.0623 Cl
0.6173 0.9759 0.0623 Cl
0.9759 0.3586 0.5623 Cl
0.6414 0.6173 0.5623 Cl
0.3827 0.0241 0.5623 Cl
0.9974 0.3205 0.9324 Cl
0.6795 0.6769 0.9324 Cl
0.3231 0.0026 0.9324 Cl
0.0026 0.6795 0.4324 Cl
0.3205 0.3231 0.4324 Cl
0.6769 0.9974 0.4324 Cl
0.9880 0.7459 0.7246 Cl
0.2541 0.2420 0.7246 Cl
0.7580 0.0120 0.7246 Cl
0.0120 0.2541 0.2246 Cl
0.7459 0.7580 0.2246 Cl
0.2420 0.9880 0.2246 Cl
0.6667 0.3333 0.7982 Cl
0.3333 0.6667 0.2982 Cl

---

[2]
La4C2Cl5, optimized geometry, DFT meta-GGA r2SCAN; final energy = -17.356 eV/atom; symmetry = P-1, No. 2
1.0
-2.7010 1.3283 -2.5573
-0.1206 -7.1505 -3.5837
-4.9512 0.3179 8.4251
La C Cl
4 2 5
Direct
0.3291 0.3283 0.6544 La
0.0005 0.7131 0.0004 La
0.6709 0.6717 0.3456 La
0.9995 0.2869 0.9996 La
0.4596 0.4594 0.9182 C
0.5404 0.5406 0.0818 C
0.8343 0.6081 0.6647 Cl
0.1657 0.3919 0.3353 Cl
0.8335 0.0593 0.6642 Cl
0.5000 0.0000 0.0000 Cl
0.1665 0.9407 0.3358 Cl

---

[3]
SbP3CN3Cl15, optimized geometry, DFT meta-GGA r2SCAN; final energy = -8.566 eV/atom; symmetry = P-1, No. 2
1.0
9.2253 -0.0912 -0.0032
2.4907 10.1873 0.1006
0.2536 0.9040 13.1739
Sb P C N Cl
2 6 2 6 30
Direct
0.3131 0.2526 0.3080 Sb
0.6869 0.7474 0.6920 Sb
0.8645 0.2165 0.6504 P
0.5916 0.7073 0.2174 P
0.2119 0.7930 0.0046 P
0.4084 0.2927 0.7826 P
0.1355 0.7835 0.3496 P
0.7881 0.2070 0.9954 P
0.3066 0.7623 0.1884 C
0.6934 0.2377 0.8116 C
0.1910 0.7879 0.1229 N
0.7155 0.2403 0.7113 N
0.4465 0.7395 0.1515 N
0.2845 0.7597 0.2887 N
0.8090 0.2121 0.8771 N
0.5535 0.2605 0.8485 N
0.9536 0.6888 0.6957 Cl
0.9868 0.1691 0.0577 Cl
0.3078 0.0794 0.4351 Cl
0.3211 0.3980 0.4363 Cl
0.3159 0.4248 0.1781 Cl
0.9849 0.3482 0.6621 Cl
0.3213 0.6290 0.9483 Cl
0.2420 0.3027 0.8800 Cl
0.6309 0.5355 0.2975 Cl
0.3094 0.9314 0.9446 Cl
0.8116 0.2260 0.5067 Cl
0.9970 0.9568 0.3197 Cl
0.3123 0.1035 0.1783 Cl
0.0151 0.6518 0.3379 Cl
0.6906 0.0686 0.0554 Cl
0.4191 0.8064 0.6934 Cl
0.0464 0.3112 0.3043 Cl
0.1884 0.7740 0.4933 Cl
0.6130 0.8375 0.3121 Cl
0.3870 0.1625 0.6879 Cl
0.6787 0.3710 0.0517 Cl
0.6841 0.5752 0.8219 Cl
0.0132 0.8309 0.9423 Cl
0.6789 0.6020 0.5637 Cl
0.0030 0.0432 0.6803 Cl
0.5809 0.1936 0.3066 Cl
0.6877 0.8965 0.8217 Cl
0.7580 0.6973 0.1200 Cl
0.3691 0.4645 0.7025 Cl
0.6922 0.9206 0.5649 Cl

---

[4]
YCCl, optimized geometry, DFT meta-GGA r2SCAN; final energy = -13.598 eV/atom; symmetry = C2/m, No. 12
1.0
1.8694 3.4315 -0.0034
-1.8694 3.4315 -0.0034
0.0000 0.9426 9.5716
Y C Cl
2 2 2
Direct
0.8549 0.8549 0.1549 Y
0.1451 0.1451 0.8451 Y
0.5734 0.5734 0.0407 C
0.4266 0.4266 0.9593 C
0.8225 0.8225 0.6677 Cl
0.1775 0.1775 0.3323 Cl

---

[5]
Zr6CCl14, optimized geometry, DFT meta-GGA r2SCAN; final energy = -13.075 eV/atom; symmetry = Cmce, No. 64
1.0
6.3847 -7.0879 0.0000
6.3847 7.0879 0.0000
0.0000 0.0000 11.5519
Zr C Cl
12 2 28
Direct
0.6463 0.6463 0.1063 Zr
0.8537 0.8537 0.6063 Zr
0.1463 0.1463 0.3937 Zr
0.3537 0.3537 0.8937 Zr
0.4537 0.6849 0.8825 Zr
0.0463 0.8151 0.3825 Zr
0.1849 0.9537 0.6175 Zr
0.3151 0.5463 0.1175 Zr
0.5463 0.3151 0.1175 Zr
0.9537 0.1849 0.6175 Zr
0.8151 0.0463 0.3825 Zr
0.6849 0.4537 0.8825 Zr
0.5000 0.5000 0.0000 C
0.0000 0.0000 0.5000 C
0.2503 0.7497 0.5000 Cl
0.2497 0.7503 0.0000 Cl
0.7497 0.2503 0.5000 Cl
0.7503 0.2497 0.0000 Cl
0.8423 0.8423 0.2371 Cl
0.6577 0.6577 0.7371 Cl
0.3423 0.3423 0.2629 Cl
0.1577 0.1577 0.7629 Cl
0.5993 0.0993 0.2500 Cl
0.9007 0.4007 0.7500 Cl
0.9648 0.2118 0.2505 Cl
0.5352 0.2882 0.7505 Cl
0.7118 0.4648 0.2495 Cl
0.7882 0.0352 0.7495 Cl
0.0352 0.7882 0.7495 Cl
0.4648 0.7118 0.2495 Cl
0.2882 0.5352 0.7505 Cl
0.2118 0.9648 0.2505 Cl
0.1345 0.3836 0.0089 Cl
0.3655 0.1164 0.5089 Cl
0.8836 0.6345 0.4911 Cl
0.6164 0.8655 0.9911 Cl
0.8655 0.6164 0.9911 Cl
0.6345 0.8836 0.4911 Cl
0.1164 0.3655 0.5089 Cl
0.3836 0.1345 0.0089 Cl
0.0993 0.5993 0.2500 Cl
0.4007 0.9007 0.7500 Cl

---

[6]
ErCoC, optimized geometry, DFT meta-GGA r2SCAN; final energy = -19.423 eV/atom; symmetry = P4_2/mmc, No. 131
1.0
-2.5354 2.5644 -0.1309
-1.6570 -1.4935 2.8365
3.6711 3.8423 4.1676
Er Co C
2 2 2
Direct
0.0000 0.0000 0.7500 Er
0.0000 0.0000 0.2500 Er
0.5000 0.5000 0.0000 Co
0.5000 0.5000 0.5000 Co
0.5000 0.0000 0.5000 C
0.0000 0.5000 0.0000 C

---

[7]
CoH9C4NO6, optimized geometry, DFT meta-GGA r2SCAN; final energy = -6.892 eV/atom; symmetry = P2_1/c, No. 14
1.0
-2.0989 -7.8242 1.1343
3.9831 -0.0385 7.1048
-9.4893 4.0872 5.3421
Co H C N O
4 36 16 4 24
Direct
0.0000 0.5000 0.0000 Co
0.5000 0.0000 0.5000 Co
0.5000 0.0000 0.0000 Co
0.0000 0.5000 0.5000 Co
0.6597 0.4172 0.2801 H
0.8403 0.9172 0.2199 H
0.3403 0.5828 0.7199 H
0.1597 0.0828 0.7801 H
0.5036 0.3514 0.1873 H
0.9964 0.8514 0.3127 H
0.4964 0.6486 0.8127 H
0.0036 0.1486 0.6873 H
0.4820 0.3536 0.3303 H
0.0180 0.8536 0.1697 H
0.5180 0.6464 0.6697 H
0.9820 0.1464 0.8303 H
0.4227 0.0152 0.2437 H
0.0773 0.5152 0.2563 H
0.5773 0.9848 0.7563 H
0.9227 0.4848 0.7437 H
0.2879 0.7049 0.9665 H
0.2121 0.2049 0.5335 H
0.7121 0.2951 0.0335 H
0.7879 0.7951 0.4665 H
0.2164 0.2161 0.9622 H
0.2836 0.7161 0.5378 H
0.7836 0.7839 0.0378 H
0.7164 0.2839 0.4622 H
0.5025 0.6499 0.3352 H
0.9975 0.1499 0.1648 H
0.4975 0.3501 0.6648 H
0.0025 0.8501 0.8352 H
0.3429 0.5859 0.2338 H
0.1571 0.0859 0.2662 H
0.6571 0.4141 0.7662 H
0.8429 0.9141 0.7338 H
0.5349 0.6485 0.1851 H
0.9651 0.1485 0.3149 H
0.4651 0.3515 0.8149 H
0.0349 0.8515 0.6851 H
0.5551 0.9907 0.2520 C
0.9449 0.4907 0.2480 C
0.4449 0.0093 0.7480 C
0.0551 0.5093 0.7520 C
0.2236 0.7805 0.0275 C
0.2764 0.2805 0.4725 C
0.7764 0.2195 0.9725 C
0.7236 0.7195 0.5275 C
0.2832 0.2819 0.0328 C
0.2168 0.7819 0.4672 C
0.7168 0.7181 0.9672 C
0.7832 0.2181 0.5328 C
0.4743 0.5873 0.2538 C
0.0257 0.0873 0.2462 C
0.5257 0.4127 0.7462 C
0.9743 0.9127 0.7538 C
0.5339 0.4156 0.2631 N
0.9661 0.9156 0.2369 N
0.4661 0.5844 0.7369 N
0.0339 0.0844 0.7631 N
0.2874 0.9126 0.0637 O
0.2126 0.4126 0.4363 O
0.7126 0.0874 0.9363 O
0.7874 0.5874 0.5637 O
0.2142 0.4008 0.0789 O
0.2858 0.9008 0.4211 O
0.7858 0.5992 0.9211 O
0.7142 0.0992 0.5789 O
0.6287 0.9688 0.1603 O
0.8713 0.4688 0.3397 O
0.3713 0.0312 0.8397 O
0.1287 0.5312 0.6603 O
0.0861 0.7285 0.0578 O
0.4139 0.2285 0.4422 O
0.9139 0.2715 0.9422 O
0.5861 0.7715 0.5578 O
0.4267 0.2316 0.0630 O
0.0733 0.7316 0.4370 O
0.5733 0.7684 0.9370 O
0.9267 0.2684 0.5630 O
0.6264 0.9838 0.3510 O
0.8736 0.4838 0.1490 O
0.3736 0.0162 0.6490 O
0.1264 0.5162 0.8510 O

---

[8]
CoH11C5NO6, optimized geometry, DFT meta-GGA r2SCAN; final energy = -6.734 eV/atom
1.0
14.0426 0.0000 -0.0296
0.0000 8.1783 0.0000
-4.4391 0.0000 7.3324
Co H C N O
4 44 20 4 24
Direct
0.9996 0.2518 0.0009 Co
0.9996 0.7482 0.5009 Co
0.4996 0.7518 0.0009 Co
0.4996 0.2482 0.5009 Co
0.6857 0.1460 0.0646 H
0.6857 0.8540 0.5646 H
0.1857 0.6460 0.0646 H
0.1857 0.3540 0.5646 H
0.6908 0.3443 0.9807 H
0.6908 0.6557 0.4807 H
0.1908 0.8443 0.9807 H
0.1908 0.1557 0.4807 H
0.6252 0.3164 0.1092 H
0.6252 0.6836 0.6092 H
0.1252 0.8164 0.1092 H
0.1252 0.1836 0.6092 H
0.2497 0.3513 0.2497 H
0.2497 0.6487 0.7497 H
0.7497 0.8513 0.2497 H
0.7497 0.1487 0.7497 H
0.0048 0.5704 0.8259 H
0.0048 0.4296 0.3259 H
0.5048 0.0704 0.8259 H
0.5048 0.9296 0.3259 H
0.0382 0.9530 0.2365 H
0.0382 0.0470 0.7365 H
0.5382 0.4530 0.2365 H
0.5382 0.5470 0.7365 H
0.8630 0.2574 0.2450 H
0.8630 0.7426 0.7450 H
0.3630 0.7574 0.2450 H
0.3630 0.2426 0.7450 H
0.8145 0.4340 0.2839 H
0.8145 0.5660 0.7839 H
0.3145 0.9340 0.2839 H
0.3145 0.0660 0.7839 H
0.8856 0.2637 0.5448 H
0.8856 0.7363 0.0448 H
0.3856 0.7637 0.5448 H
0.3856 0.2363 0.0448 H
0.7941 0.1047 0.4060 H
0.7942 0.8953 0.9060 H
0.2942 0.6047 0.4060 H
0.2941 0.3953 0.9060 H
0.7373 0.2885 0.4349 H
0.7373 0.7115 0.9349 H
0.2373 0.7885 0.4349 H
0.2373 0.2115 0.9349 H
0.6929 0.2768 0.0916 C
0.6929 0.7232 0.5916 C
0.1929 0.7768 0.0916 C
0.1929 0.2232 0.5916 C
0.2481 0.2166 0.2488 C
0.2481 0.7834 0.7488 C
0.7481 0.7166 0.2488 C
0.7481 0.2834 0.7488 C
0.0326 0.4796 0.7630 C
0.0326 0.5204 0.2630 C
0.5326 0.9796 0.7630 C
0.5326 0.0204 0.2630 C
0.9784 0.0239 0.2552 C
0.9784 0.9761 0.7552 C
0.4784 0.5239 0.2552 C
0.4784 0.4761 0.7552 C
0.8050 0.2364 0.4243 C
0.8050 0.7636 0.9243 C
0.3050 0.7364 0.4243 C
0.3050 0.2636 0.9243 C
0.8006 0.3081 0.2620 N
0.8006 0.6919 0.7620 N
0.3006 0.8081 0.2620 N
0.3006 0.1919 0.7620 N
0.1562 0.1437 0.1593 O
0.1562 0.8563 0.6593 O
0.6562 0.6437 0.1593 O
0.6562 0.3563 0.6593 O
0.0469 0.5261 0.6363 O
0.0469 0.4739 0.1363 O
0.5469 0.0261 0.6363 O
0.5469 0.9739 0.1363 O
0.0491 0.3353 0.8246 O
0.0491 0.6647 0.3246 O
0.5491 0.8353 0.8246 O
0.5491 0.1647 0.3246 O
0.9448 0.9671 0.3544 O
0.9448 0.0329 0.8544 O
0.4448 0.4671 0.3544 O
0.4448 0.5329 0.8544 O
0.9466 0.1612 0.1739 O
0.9466 0.8388 0.6739 O
0.4466 0.6612 0.1739 O
0.4466 0.3388 0.6739 O
0.3406 0.1419 0.3396 O
0.3406 0.8581 0.8396 O
0.8406 0.6419 0.3396 O
0.8406 0.3581 0.8396 O